The following is a PBE-GGA calculation of LaNb2ClO6 after structural relaxation, from the Materials Project database.

ρ   4.87 g cm⁻³
E (MP2020)   -8.81 eV/atom
Volume   622 Å³ per cell
Energy   -8.40 eV per atom
ΔH_f (0 K)   -3.14 eV/atom
Total magnetization   0.00 μB/atom

abc: 9.957 7.408 8.438
angles: 90.00 90.00 90.00
Space group Pnma (No. 62)
Asymmetric unit:
La  0.178  0.250  0.190
Nb  0.000  0.000  0.500
Nb  0.236  0.750  0.232
Cl  0.105  0.750  0.927
O  0.003  0.750  0.580
O  0.104  0.555  0.300
O  0.171  0.250  0.916
O  0.174  0.048  0.615

---

The following is a PBE-GGA calculation of LaCl3O3 after structural relaxation, from the Materials Project database.

ρ   2.76 g cm⁻³
E (MP2020)   -4.21 eV/atom
Volume   176 Å³ per cell
Energy   -3.92 eV per atom
ΔH_f (0 K)   -0.60 eV/atom
Total magnetization   0.86 μB/atom

abc: 7.0624 7.0624 4.0790
angles: 90.00 90.00 120.00
Space group P-62m (No. 189)
Asymmetric unit:
La  0.0000  0.0000  0.0000
Cl  0.0000  0.7014  0.5000
O  0.0000  0.3533  0.0000

---

The following is a PBE-GGA calculation of LaCl3O3 after structural relaxation, from the Materials Project database.

ρ   2.87 g cm⁻³
E (MP2020)   -4.70 eV/atom
Volume   679 Å³ per cell
Energy   -4.64 eV per atom
ΔH_f (0 K)   -1.09 eV/atom
Total magnetization   0.00 μB/atom

abc: 15.113 9.078 4.948
angles: 90.00 90.00 90.00
Space group Pnma (No. 62)
Asymmetric unit:
La  0.011  0.250  0.091
Cl  0.084  0.535  0.238
Cl  0.168  0.250  0.824
O  0.014  0.250  0.605
O  0.186  0.682  0.746

---

The following is a PBE-GGA calculation of La4PClO8 after structural relaxation, from the Materials Project database.

ρ   5.29 g cm⁻³
E (MP2020)   -8.38 eV/atom
Volume   1882 Å³ per cell
Energy   -7.99 eV per atom
ΔH_f (0 K)   -3.62 eV/atom
Total magnetization   0.00 μB/atom

abc: 11.107 11.808 14.778
angles: 90.00 103.84 90.00
Space group P2_1/c (No. 14)
Asymmetric unit:
La  0.072  0.004  0.134
La  0.077  0.501  0.127
La  0.171  0.248  0.001
La  0.176  0.737  0.509
La  0.332  0.239  0.764
La  0.340  0.736  0.259
La  0.409  0.000  0.134
La  0.418  0.002  0.614
P  0.232  0.016  0.867
P  0.498  0.738  0.000
Cl  0.072  0.696  0.803
Cl  0.163  0.072  0.340
O  0.002  0.623  0.503
O  0.003  0.628  0.003
O  0.126  0.554  0.302
O  0.188  0.142  0.858
O  0.236  0.625  0.648
O  0.237  0.131  0.140
O  0.249  0.121  0.625
O  0.249  0.626  0.126
O  0.250  0.525  0.469
O  0.352  0.006  0.832
O  0.370  0.207  0.442
O  0.425  0.698  0.560
O  0.428  0.624  0.965
O  0.489  0.124  0.271
O  0.491  0.191  0.086
O  0.491  0.628  0.763

---

The following is a PBE-GGA calculation of LaPb6ClO7 after structural relaxation, from the Materials Project database.

ρ   7.52 g cm⁻³
E (MP2020)   -6.11 eV/atom
Volume   1351 Å³ per cell
Energy   -5.79 eV per atom
ΔH_f (0 K)   -1.86 eV/atom
Total magnetization   0.00 μB/atom

abc: 19.082 8.205 9.815
angles: 90.00 118.44 90.00
Space group C2/m (No. 12)
Asymmetric unit:
La  0.250  0.250  0.000
Pb  0.054  0.000  0.826
Pb  0.062  0.500  0.762
Pb  0.133  0.233  0.559
Pb  0.154  0.500  0.205
Pb  0.201  0.000  0.270
Cl  0.000  0.266  0.000
O  0.108  0.222  0.758
O  0.154  0.500  0.622
O  0.170  0.500  0.989
O  0.180  0.000  0.028
O  0.241  0.282  0.259

---

The following is a PBE-GGA calculation of Rb3LaCl6O2 after structural relaxation, from the Materials Project database.

ρ   2.82 g cm⁻³
E (MP2020)   -3.95 eV/atom
Volume   2264 Å³ per cell
Energy   -3.83 eV per atom
ΔH_f (0 K)   -1.54 eV/atom
Total magnetization   0.34 μB/atom

abc: 12.4465 12.4465 16.8758
angles: 90.00 90.00 120.00
Space group P6_3/m (No. 176)
Asymmetric unit:
Rb  0.0000  0.0000  0.0000
Rb  0.0658  0.4437  0.1146
Rb  0.3333  0.6667  0.6092
La  0.0379  0.2325  0.7500
Cl  0.0292  0.1763  0.1509
Cl  0.1258  0.7041  0.0316
Cl  0.1275  0.6646  0.2500
Cl  0.1734  0.7202  0.7500
O  0.0270  0.3645  0.6402

---

The following is a PBE-GGA calculation of La4S4Cl2O after structural relaxation, from the Materials Project database.

ρ   4.73 g cm⁻³
E (MP2020)   -6.80 eV/atom
Volume   1081 Å³ per cell
Energy   -6.56 eV per atom
ΔH_f (0 K)   -2.72 eV/atom
Total magnetization   0.00 μB/atom

abc: 9.328 16.353 7.090
angles: 90.00 90.00 90.00
Space group Cmc2_1 (No. 36)
Asymmetric unit:
La  0.000  0.175  0.000
La  0.000  0.305  0.552
La  0.210  0.101  0.528
S  0.000  0.036  0.258
S  0.000  0.364  0.927
S  0.205  0.237  0.261
Cl  0.199  0.433  0.427
O  0.000  0.167  0.652

---

The following is a PBE-GGA calculation of La3Si2ClO8 after structural relaxation, from the Materials Project database.

ρ   4.97 g cm⁻³
E (MP2020)   -8.41 eV/atom
Volume   850 Å³ per cell
Energy   -8.01 eV per atom
ΔH_f (0 K)   -3.61 eV/atom
Total magnetization   0.00 μB/atom

abc: 14.660 6.575 8.911
angles: 90.00 98.14 90.00
Space group Cc (No. 9)
Asymmetric unit:
La  0.000  0.069  0.000
La  0.185  0.396  0.421
La  0.316  0.104  0.080
Si  0.159  0.057  0.777
Si  0.342  0.444  0.724
Cl  0.495  0.025  0.979
O  0.079  0.121  0.283
O  0.145  0.237  0.898
O  0.154  0.119  0.598
O  0.241  0.444  0.169
O  0.259  0.056  0.331
O  0.346  0.383  0.903
O  0.356  0.263  0.603
O  0.422  0.379  0.217

---

The following is a PBE-GGA calculation of La3Si2ClO8 after structural relaxation, from the Materials Project database.

ρ   4.98 g cm⁻³
E (MP2020)   -8.41 eV/atom
Volume   848 Å³ per cell
Energy   -8.01 eV per atom
ΔH_f (0 K)   -3.61 eV/atom
Total magnetization   0.00 μB/atom

abc: 14.656 6.566 8.907
angles: 90.00 98.15 90.00
Space group C2/c (No. 15)
Asymmetric unit:
La  0.000  0.069  0.250
La  0.184  0.396  0.671
Si  0.158  0.056  0.026
Cl  0.000  0.475  0.750
O  0.079  0.122  0.533
O  0.144  0.237  0.147
O  0.154  0.118  0.848
O  0.241  0.444  0.419